i.
BaZn2H16O11 after structural relaxation, computed with PBE-GGA.

CIF file:
```
data_BaZn2H16O11
_chemical_formula_sum 'Ba4 Zn8 H64 O44'
_cell_length_a 6.385
_cell_length_b 18.503
_cell_length_c 12.244
_cell_angle_alpha 90.00
_cell_angle_beta 96.22
_cell_angle_gamma 90.00
_space_group_name_H-M_alt 'P 1 21/c 1'
_space_group_IT_number 14
loop_
_space_group_symop_operation_xyz
'x,y,z'
'-x,-y,-z'
'-x,y+1/2,-z+1/2'
'x,-y+1/2,z+1/2'
loop_
_atom_site_label
_atom_site_fract_x
_atom_site_fract_y
_atom_site_fract_z
Ba1 0.073 0.060 0.270
Zn1 0.404 0.652 0.076
Zn2 0.411 0.202 0.947
H1 0.057 0.230 0.482
H2 0.126 0.135 0.844
H3 0.153 0.215 0.120
H4 0.154 0.655 0.082
H5 0.216 0.222 0.252
H6 0.262 0.061 0.065
H7 0.272 0.049 0.857
H8 0.272 0.600 0.427
H9 0.333 0.555 0.623
H10 0.361 0.059 0.104
H11 0.368 0.189 0.575
H12 0.401 0.707 0.872
H13 0.411 0.589 0.737
H14 0.438 0.087 0.388
H15 0.467 0.663 0.366
H16 0.496 0.234 0.366
O1 0.028 0.623 0.862
O2 0.069 0.673 0.801
O3 0.099 0.002 0.512
O4 0.151 0.188 0.197
O5 0.183 0.550 0.423
O6 0.191 0.246 0.522
O7 0.272 0.120 0.863
O8 0.281 0.511 0.337
O9 0.294 0.563 0.697
O10 0.387 0.668 0.429
O11 0.487 0.667 0.904
```



ii.
BaZn2H16O11 after structural relaxation, computed with PBE-GGA.

CIF file:
```
data_BaZn2H16O11
_chemical_formula_sum 'Ba4 Zn8 H64 O44'
_cell_length_a 11.260
_cell_length_b 16.297
_cell_length_c 6.271
_cell_angle_alpha 90.00
_cell_angle_beta 99.39
_cell_angle_gamma 90.00
_space_group_name_H-M_alt 'P 1 21/c 1'
_space_group_IT_number 14
loop_
_space_group_symop_operation_xyz
'x,y,z'
'-x,-y,-z'
'-x,y+1/2,-z+1/2'
'x,-y+1/2,z+1/2'
loop_
_atom_site_label
_atom_site_fract_x
_atom_site_fract_y
_atom_site_fract_z
Ba1 0.154 0.022 0.290
Zn1 0.228 0.708 0.040
Zn2 0.251 0.208 0.997
H1 0.000 0.143 0.591
H2 0.035 0.750 0.106
H3 0.072 0.643 0.439
H4 0.093 0.232 0.203
H5 0.100 0.092 0.748
H6 0.137 0.581 0.303
H7 0.275 0.074 0.839
H8 0.308 0.582 0.187
H9 0.355 0.618 0.745
H10 0.385 0.152 0.558
H11 0.394 0.742 0.833
H12 0.409 0.567 0.571
H13 0.444 0.244 0.905
H14 0.446 0.068 0.615
H15 0.466 0.056 0.208
H16 0.485 0.146 0.124
O1 0.030 0.087 0.623
O2 0.059 0.748 0.964
O3 0.079 0.583 0.412
O4 0.176 0.215 0.264
O5 0.218 0.092 0.930
O6 0.226 0.591 0.113
O7 0.313 0.721 0.783
O8 0.367 0.092 0.558
O9 0.383 0.561 0.714
O10 0.425 0.241 0.052
O11 0.474 0.591 0.339
```



Most stable: ii (next structure +50.6 kJ/mol of atoms)



i.
BaReH7 after structural relaxation, computed with PBE-GGA.

CIF file:
```
data_BaReH7
_chemical_formula_sum 'Ba2 Re2 H14'
_cell_length_a 3.570
_cell_length_b 9.795
_cell_length_c 5.138
_cell_angle_alpha 90.00
_cell_angle_beta 90.40
_cell_angle_gamma 90.00
_space_group_name_H-M_alt 'P 1 21/m 1'
_space_group_IT_number 11
loop_
_space_group_symop_operation_xyz
'x,y,z'
'-x,-y,-z'
'-x,y+1/2,-z'
'x,-y+1/2,z'
loop_
_atom_site_label
_atom_site_fract_x
_atom_site_fract_y
_atom_site_fract_z
Ba1 0.000 0.000 0.000
Re1 0.448 0.250 0.481
H1 0.039 0.160 0.482
H2 0.433 0.250 0.150
H3 0.492 0.589 0.633
H4 0.494 0.145 0.750
```



ii.
BaReH7 after structural relaxation, computed with PBE-GGA.

CIF file:
```
data_BaReH7
_chemical_formula_sum 'Ba2 Re2 H14'
_cell_length_a 3.701
_cell_length_b 9.995
_cell_length_c 5.061
_cell_angle_alpha 90.00
_cell_angle_beta 105.61
_cell_angle_gamma 90.00
_space_group_name_H-M_alt 'P 1 21/m 1'
_space_group_IT_number 11
loop_
_space_group_symop_operation_xyz
'x,y,z'
'-x,-y,-z'
'-x,y+1/2,-z'
'x,-y+1/2,z'
loop_
_atom_site_label
_atom_site_fract_x
_atom_site_fract_y
_atom_site_fract_z
Ba1 0.000 0.000 0.000
Re1 0.379 0.250 0.572
H1 0.084 0.250 0.250
H2 0.121 0.750 0.296
H3 0.322 0.079 0.613
H4 0.432 0.657 0.630
H5 0.459 0.250 0.925
```



Most stable: i (next structure +0.5 kJ/mol of atoms)



i.
BaHfMg6O8 after structural relaxation, computed with PBE-GGA.

CIF file:
```
data_BaHfMg6O8
_chemical_formula_sum 'Ba1 Hf1 Mg6 O8'
_cell_length_a 4.700
_cell_length_b 4.700
_cell_length_c 9.028
_cell_angle_alpha 90.00
_cell_angle_beta 90.00
_cell_angle_gamma 90.00
_space_group_name_H-M_alt 'P 4/m m m'
_space_group_IT_number 123
_space_group_name_Hall '-P 4 2'
loop_
_atom_site_label
_atom_site_fract_x
_atom_site_fract_y
_atom_site_fract_z
Ba1 0.000 0.000 0.000
Hf1 0.500 0.500 0.000
Mg1 0.000 0.000 0.500
Mg2 0.000 0.500 0.273
Mg3 0.500 0.500 0.500
O1 0.000 0.000 0.284
O2 0.000 0.500 0.000
O3 0.000 0.500 0.500
O4 0.500 0.500 0.248
```



ii.
BaHfMg6O8 after structural relaxation, computed with PBE-GGA.

CIF file:
```
data_BaHfMg6O8
_chemical_formula_sum 'Ba1 Hf1 Mg6 O8'
_cell_length_a 4.754
_cell_length_b 4.754
_cell_length_c 9.083
_cell_angle_alpha 90.00
_cell_angle_beta 90.00
_cell_angle_gamma 90.00
_space_group_name_H-M_alt 'P 4/m m m'
_space_group_IT_number 123
_space_group_name_Hall '-P 4 2'
loop_
_atom_site_label
_atom_site_fract_x
_atom_site_fract_y
_atom_site_fract_z
Ba1 0.000 0.000 0.000
Hf1 0.000 0.000 0.500
Mg1 0.000 0.500 0.255
Mg2 0.500 0.500 0.000
Mg3 0.500 0.500 0.500
O1 0.000 0.000 0.279
O2 0.000 0.500 0.000
O3 0.000 0.500 0.500
O4 0.500 0.500 0.249
```



Most stable: i (next structure +3.0 kJ/mol of atoms)



i.
BaSrPrHfO6 after structural relaxation, computed with PBE-GGA.

CIF file:
```
data_BaSrPrHfO6
_chemical_formula_sum 'Ba4 Sr4 Pr4 Hf4 O24'
_cell_length_a 8.678
_cell_length_b 8.690
_cell_length_c 8.741
_cell_angle_alpha 90.00
_cell_angle_beta 90.00
_cell_angle_gamma 90.00
_space_group_name_H-M_alt 'P 2 2 2'
_space_group_IT_number 16
loop_
_space_group_symop_operation_xyz
'x,y,z'
'-x,-y,z'
'x,-y,-z'
'-x,y,-z'
loop_
_atom_site_label
_atom_site_fract_x
_atom_site_fract_y
_atom_site_fract_z
Ba1 0.000 0.000 0.000
Ba2 0.000 0.000 0.500
Ba3 0.000 0.500 0.000
Ba4 0.500 0.000 0.500
Sr1 0.000 0.500 0.500
Sr2 0.500 0.000 0.000
Sr3 0.500 0.500 0.000
Sr4 0.500 0.500 0.500
Pr1 0.253 0.253 0.749
Hf1 0.253 0.255 0.252
O1 0.016 0.294 0.288
O2 0.213 0.222 0.017
O3 0.221 0.017 0.285
O4 0.294 0.485 0.203
O5 0.297 0.292 0.483
O6 0.484 0.203 0.210
```



ii.
BaSrPrHfO6 after structural relaxation, computed with PBE-GGA.

CIF file:
```
data_BaSrPrHfO6
_chemical_formula_sum 'Ba2 Sr2 Pr2 Hf2 O12'
_cell_length_a 6.104
_cell_length_b 6.193
_cell_length_c 8.659
_cell_angle_alpha 89.64
_cell_angle_beta 89.62
_cell_angle_gamma 89.94
_space_group_name_H-M_alt 'P -1'
_space_group_IT_number 2
loop_
_space_group_symop_operation_xyz
'x,y,z'
'-x,-y,-z'
loop_
_atom_site_label
_atom_site_fract_x
_atom_site_fract_y
_atom_site_fract_z
Ba1 0.008 0.034 0.250
Sr1 0.488 0.541 0.248
Pr1 0.000 0.500 0.000
Pr2 0.500 0.000 0.500
Hf1 0.000 0.500 0.500
Hf2 0.500 0.000 0.000
O1 0.098 0.518 0.732
O2 0.194 0.771 0.454
O3 0.228 0.803 0.039
O4 0.274 0.307 0.448
O5 0.313 0.277 0.052
O6 0.422 0.046 0.767
```



iii.
BaSrPrHfO6 after structural relaxation, computed with PBE-GGA.

CIF file:
```
data_BaSrPrHfO6
_chemical_formula_sum 'Ba4 Sr4 Pr4 Hf4 O24'
_cell_length_a 8.797
_cell_length_b 8.797
_cell_length_c 8.797
_cell_angle_alpha 90.00
_cell_angle_beta 90.00
_cell_angle_gamma 90.00
_space_group_name_H-M_alt 'F -4 3 m'
_space_group_IT_number 216
_space_group_name_Hall 'F -4 2 3'
loop_
_atom_site_label
_atom_site_fract_x
_atom_site_fract_y
_atom_site_fract_z
Ba1 0.000 0.000 0.000
Sr1 0.000 0.000 0.500
Pr1 0.250 0.250 0.750
Hf1 0.250 0.250 0.250
O1 0.014 0.250 0.250
```



Most stable: ii (next structure +0.9 kJ/mol of atoms)